Computed, not measured: a geometry-optimized Ta2Zn4S9O36 structure at the GGA-PBE level of DFT.

Summary:
Energy of formation, meV/atom: -2023.6
SG: P3c1

a = 8.7203 Å, b = 8.7203 Å, c = 22.5312 Å
α = 90.00°, β = 90.00°, γ = 120.00°
Closest atoms and distances in Å follow each position.
Positions (direct):
Ta 0.6667 0.3333 0.9811  6 O 1.93-2.06
Ta 0.6667 0.3333 0.4811  6 O 1.93-2.06
Ta 0.3333 0.6667 0.3094  6 O 1.92-2.06
Ta 0.3333 0.6667 0.8094  6 O 1.92-2.06
Zn 0.0000 0.0000 0.3516  6 O 2.05-2.09
Zn 0.0000 0.0000 0.8516  6 O 2.05-2.09
Zn 0.0000 0.0000 0.6446  6 O 2.10-2.14
Zn 0.0000 0.0000 0.1446  6 O 2.10-2.14
Zn 0.6667 0.3333 0.6868  6 O 2.06-2.07
Zn 0.6667 0.3333 0.1868  6 O 2.06-2.07
Zn 0.3333 0.6667 0.0224  6 O 2.03-2.08
Zn 0.3333 0.6667 0.5224  6 O 2.03-2.08
S 0.2913 0.0061 0.2502  4 O 1.45-1.58
S 0.7148 0.7087 0.2502  4 O 1.45-1.58
S 0.9939 0.2852 0.2502  4 O 1.45-1.58
S 0.2913 0.2852 0.7502  4 O 1.45-1.58
S 0.9939 0.7087 0.7502  4 O 1.45-1.58
S 0.7148 0.0061 0.7502  4 O 1.45-1.58
S 0.9597 0.3341 0.5852  4 O 1.45-1.60
S 0.3744 0.0403 0.5852  4 O 1.45-1.60
S 0.6659 0.6256 0.5852  4 O 1.45-1.60
S 0.9597 0.6256 0.0852  4 O 1.45-1.60
S 0.6659 0.0403 0.0852  4 O 1.45-1.60
S 0.3744 0.3341 0.0852  4 O 1.45-1.60
S 0.6241 0.6698 0.9176  4 O 1.44-1.52
S 0.0457 0.3759 0.9176  4 O 1.44-1.52
S 0.3302 0.9543 0.9176  4 O 1.44-1.52
S 0.6241 0.9543 0.4176  4 O 1.44-1.52
S 0.3302 0.3759 0.4176  4 O 1.44-1.52
S 0.0457 0.6698 0.4176  4 O 1.44-1.52
O 0.2138 0.0295 0.3043  1 S 1.46
O 0.8158 0.7862 0.3043  1 S 1.46
O 0.9705 0.1842 0.3043  1 S 1.46
O 0.2138 0.1842 0.8043  1 S 1.46
O 0.9705 0.7862 0.8043  1 S 1.46
O 0.8158 0.0295 0.8043  1 S 1.46
O 0.7795 0.9592 0.6975  1 S 1.46
O 0.1797 0.2205 0.6975  1 S 1.46
O 0.0408 0.8203 0.6975  1 S 1.46
O 0.7795 0.8203 0.1975  1 S 1.46
O 0.0408 0.2205 0.1975  1 S 1.46
O 0.1797 0.9592 0.1975  1 S 1.46
O 0.8769 0.3644 0.6364  1 S 1.45
O 0.4874 0.1231 0.6364  1 S 1.45
O 0.6356 0.5126 0.6364  1 S 1.45
O 0.8769 0.5126 0.1364  1 S 1.45
O 0.6356 0.1231 0.1364  1 S 1.45
O 0.4874 0.3644 0.1364  1 S 1.45
O 0.4723 0.3094 0.0292  1 S 1.60
O 0.8370 0.5277 0.0292  1 S 1.60
O 0.6906 0.1630 0.0292  1 S 1.60
O 0.4723 0.1630 0.5292  1 S 1.60
O 0.6906 0.5277 0.5292  1 S 1.60
O 0.8370 0.3094 0.5292  1 S 1.60
O 0.5429 0.6950 0.9699  1 S 1.45
O 0.1521 0.4571 0.9699  1 S 1.45
O 0.3050 0.8479 0.9699  1 S 1.45
O 0.5429 0.8479 0.4699  1 S 1.45
O 0.3050 0.4571 0.4699  1 S 1.45
O 0.1521 0.6950 0.4699  1 S 1.45
O 0.1294 0.6352 0.3637  1 S 1.52
O 0.5057 0.8706 0.3637  1 S 1.52
O 0.3648 0.4943 0.3637  1 S 1.52
O 0.1294 0.4943 0.8637  1 S 1.52
O 0.3648 0.8706 0.8637  1 S 1.52
O 0.5057 0.6352 0.8637  1 S 1.52
O 0.0192 0.8179 0.4068  1 S 1.44
O 0.7987 0.9808 0.4068  1 S 1.44
O 0.1821 0.2013 0.4068  1 S 1.44
O 0.0192 0.2013 0.9068  1 S 1.44
O 0.1821 0.9808 0.9068  1 S 1.44
O 0.7987 0.8179 0.9068  1 S 1.44
O 0.9666 0.1711 0.5874  1 S 1.45
O 0.2045 0.0334 0.5874  1 S 1.45
O 0.8289 0.7955 0.5874  1 S 1.45
O 0.9666 0.7955 0.0874  1 S 1.45
O 0.8289 0.0334 0.0874  1 S 1.45
O 0.2045 0.1711 0.0874  1 S 1.45
O 0.6811 0.1521 0.7428  1 S 1.45
O 0.4710 0.3189 0.7428  1 S 1.45
O 0.8479 0.5290 0.7428  1 S 1.45
O 0.6811 0.5290 0.2428  1 S 1.45
O 0.8479 0.3189 0.2428  1 S 1.45
O 0.4710 0.1521 0.2428  1 S 1.45
O 0.6361 0.5024 0.9250  1 S 1.52
O 0.8663 0.3639 0.9250  1 S 1.52
O 0.4976 0.1337 0.9250  1 S 1.52
O 0.6361 0.1337 0.4250  1 S 1.52
O 0.4976 0.3639 0.4250  1 S 1.52
O 0.8663 0.5024 0.4250  1 S 1.52
O 0.3610 0.4904 0.0732  1 S 1.45
O 0.1294 0.6390 0.0732  1 S 1.45
O 0.5096 0.8706 0.0732  1 S 1.45
O 0.3610 0.8706 0.5732  1 S 1.45
O 0.5096 0.6390 0.5732  1 S 1.45
O 0.1294 0.4904 0.5732  1 S 1.45
O 0.3099 0.8372 0.2623  1 S 1.58
O 0.5274 0.6901 0.2623  1 S 1.58
O 0.1628 0.4726 0.2623  1 S 1.58
O 0.3099 0.4726 0.7623  1 S 1.58
O 0.1628 0.6901 0.7623  1 S 1.58
O 0.5274 0.8372 0.7623  1 S 1.58

Computed, not measured: a geometry-optimized Tb2SO2 structure at the GGA-PBE level of DFT.

Summary:
Energy of formation, meV/atom: -3577.3
SG: P-3m1

a = 3.8326 Å, b = 3.8326 Å, c = 6.6459 Å
α = 90.00°, β = 90.00°, γ = 120.00°
Closest atoms and distances in Å follow each position.
Positions (direct):
Tb 0.6667 0.3333 0.7179  4 O 2.29-2.31
Tb 0.3333 0.6667 0.2821  4 O 2.29-2.31
S 0.0000 0.0000 0.0000  6 Tb 2.90
O 0.6667 0.3333 0.3706  4 Tb 2.29-2.31
O 0.3333 0.6667 0.6294  4 Tb 2.29-2.31

Computed, not measured: a geometry-optimized Tb2S3O12 structure at the GGA-PBE level of DFT.

Summary:
Energy of formation, meV/atom: -2658.8
SG: Pbcn

a = 9.2958 Å, b = 9.5314 Å, c = 12.9777 Å
α = 90.00°, β = 90.00°, γ = 90.00°
Closest atoms and distances in Å follow each position.
Positions (direct):
Tb 0.2521 0.4656 0.1175  6 O 2.25-2.27
Tb 0.7479 0.5344 0.8825  6 O 2.25-2.27
Tb 0.2479 0.9656 0.3825  6 O 2.25-2.27
Tb 0.2521 0.0344 0.8825  6 O 2.25-2.27
Tb 0.7521 0.0344 0.6175  6 O 2.25-2.27
Tb 0.7479 0.9656 0.1175  6 O 2.25-2.27
Tb 0.2479 0.5344 0.6175  6 O 2.25-2.27
Tb 0.7521 0.4656 0.3825  6 O 2.25-2.27
S 0.5296 0.2500 0.0000  4 O 1.48
S 0.4704 0.7500 0.0000  4 O 1.48
S 0.9704 0.7500 0.5000  4 O 1.48
S 0.0296 0.2500 0.5000  4 O 1.48
S 0.1054 0.1185 0.1440  4 O 1.48-1.49
S 0.8946 0.8815 0.8560  4 O 1.48-1.49
S 0.3946 0.6185 0.3560  4 O 1.48-1.49
S 0.1054 0.3815 0.8560  4 O 1.48-1.49
S 0.6054 0.3815 0.6440  4 O 1.48-1.49
S 0.8946 0.6185 0.1440  4 O 1.48-1.49
S 0.3946 0.8815 0.6440  4 O 1.48-1.49
S 0.6054 0.1185 0.3560  4 O 1.48-1.49
O 0.1674 0.0805 0.0429  1 S 1.48
O 0.8326 0.9195 0.9571  1 S 1.48
O 0.3326 0.5805 0.4571  1 S 1.48
O 0.1674 0.4195 0.9571  1 S 1.48
O 0.6674 0.4195 0.5429  1 S 1.48
O 0.8326 0.5805 0.0429  1 S 1.48
O 0.3326 0.9195 0.5429  1 S 1.48
O 0.6674 0.0805 0.4571  1 S 1.48
O 0.1700 0.0276 0.2247  1 S 1.49
O 0.8300 0.9724 0.7753  1 S 1.49
O 0.3300 0.5276 0.2753  1 S 1.49
O 0.1700 0.4724 0.7753  1 S 1.49
O 0.6700 0.4724 0.7247  1 S 1.49
O 0.8300 0.5276 0.2247  1 S 1.49
O 0.3300 0.9724 0.7247  1 S 1.49
O 0.6700 0.0276 0.2753  1 S 1.49
O 0.1221 0.1469 0.4464  1 S 1.48
O 0.8779 0.8531 0.5536  1 S 1.48
O 0.3779 0.6469 0.0536  1 S 1.48
O 0.1221 0.3531 0.5536  1 S 1.48
O 0.6221 0.3531 0.9464  1 S 1.48
O 0.8779 0.6469 0.4464  1 S 1.48
O 0.3779 0.8531 0.9464  1 S 1.48
O 0.6221 0.1469 0.0536  1 S 1.48
O 0.1366 0.2676 0.1681  1 S 1.48
O 0.8634 0.7324 0.8319  1 S 1.48
O 0.3634 0.7676 0.3319  1 S 1.48
O 0.1366 0.2324 0.8319  1 S 1.48
O 0.6366 0.2324 0.6681  1 S 1.48
O 0.8634 0.7676 0.1681  1 S 1.48
O 0.3634 0.7324 0.6681  1 S 1.48
O 0.6366 0.2676 0.3319  1 S 1.48
O 0.4380 0.3217 0.0772  1 S 1.48
O 0.5620 0.6783 0.9228  1 S 1.48
O 0.0620 0.8217 0.4228  1 S 1.48
O 0.4380 0.1783 0.9228  1 S 1.48
O 0.9380 0.1783 0.5772  1 S 1.48
O 0.5620 0.8217 0.0772  1 S 1.48
O 0.0620 0.6783 0.5772  1 S 1.48
O 0.9380 0.3217 0.4228  1 S 1.48
O 0.4474 0.0980 0.3577  1 S 1.48
O 0.5526 0.9020 0.6423  1 S 1.48
O 0.0526 0.5980 0.1423  1 S 1.48
O 0.4474 0.4020 0.6423  1 S 1.48
O 0.9474 0.4020 0.8577  1 S 1.48
O 0.5526 0.5980 0.3577  1 S 1.48
O 0.0526 0.9020 0.8577  1 S 1.48
O 0.9474 0.0980 0.1423  1 S 1.48

Computed, not measured: a geometry-optimized Tb2Ti2S2O5 structure at the GGA-PBE level of DFT.

Summary:
Energy of formation, meV/atom: -3311.4
SG: I4/mmm

a = 3.8050 Å, b = 3.8050 Å, c = 11.8361 Å
α = 99.25°, β = 99.25°, γ = 90.00°
Closest atoms and distances in Å follow each position.
Positions (direct):
Tb 0.8333 0.8333 0.6667  4 O 2.45
Tb 0.1667 0.1667 0.3333  4 O 2.45
Ti 0.4213 0.4213 0.8425  5 O 1.81-1.96
Ti 0.5787 0.5787 0.1575  5 O 1.81-1.96
S 0.2949 0.2949 0.5899  5 Tb 2.83-2.96, 1 Ti 2.91, 4 O 3.09
S 0.7051 0.7051 0.4101  5 Tb 2.83-2.96, 1 Ti 2.91, 4 O 3.09
O 0.4006 0.9006 0.8012  2 Ti 1.96
O 0.9006 0.4006 0.8012  2 Ti 1.96
O 0.5994 0.0994 0.1988  2 Ti 1.96
O 0.0994 0.5994 0.1988  2 Ti 1.96
O 0.5000 0.5000 0.0000  2 Ti 1.81

Computed, not measured: a geometry-optimized TeS4O14 structure at the GGA-PBE level of DFT.

Summary:
Energy of formation, meV/atom: -1603.9
Offset from the most stable computed form, eV per formula unit: 0.063
SG: P1

a = 6.9713 Å, b = 6.9858 Å, c = 12.3279 Å
α = 80.04°, β = 80.19°, γ = 77.34°
Closest atoms and distances in Å follow each position.
Positions (direct):
Te 0.0667 0.9380 0.7497  4 O 1.99-2.13
Te 0.9372 0.0642 0.2502  4 O 2.00-2.11
S 0.4586 0.9246 0.8587  2 O 1.42-1.43
S 0.9273 0.4570 0.3579  2 O 1.42-1.43
S 0.1899 0.6894 0.9982  3 O 1.42-1.54
S 0.3082 0.8074 0.5076  3 O 1.42-1.55
S 0.6902 0.1907 0.4978  3 O 1.42-1.54
S 0.8073 0.3088 0.0068  3 O 1.42-1.55
S 0.2251 0.4898 0.6810  2 O 1.42-1.43
S 0.5477 0.0587 0.1472  2 O 1.42-1.43
O 0.6666 0.8884 0.8185  1 S 1.43
O 0.8892 0.6649 0.3188  1 S 1.43
O 0.3537 0.9291 0.7515  1 S 1.61
O 0.4188 0.7185 0.9294  2 S 1.60-1.71
O 0.6510 0.8769 0.1104  1 S 1.42
O 0.8527 0.2650 0.8952  1 S 1.43
O 0.5060 0.7752 0.5322  1 S 1.42
O 0.9313 0.3516 0.2514  1 S 1.61
O 0.1586 0.9503 0.5793  1 S 1.55
O 0.7197 0.4176 0.4291  2 S 1.61-1.70
O 0.0529 0.8369 0.9233  1 S 1.54
O 0.2648 0.8510 0.3958  1 S 1.43
O 0.7767 0.5055 0.0314  1 S 1.42
O 0.7624 0.1666 0.6021  1 S 1.43
O 0.4183 0.4592 0.7121  1 S 1.42
O 0.1970 0.4863 0.9923  1 S 1.42
O 0.9464 0.1557 0.0795  1 S 1.55
O 0.0735 0.6512 0.7468  1 S 1.60
O 0.2214 0.5964 0.5536  2 S 1.62-1.69
O 0.8341 0.0522 0.4222  1 S 1.54
O 0.1701 0.7579 0.1032  1 S 1.43
O 0.4855 0.1996 0.4934  1 S 1.42
O 0.3638 0.0878 0.9159  1 S 1.42
O 0.6450 0.0984 0.2485  1 S 1.61
O 0.5825 0.2456 0.0561  2 S 1.60-1.70
O 0.1216 0.3315 0.6885  1 S 1.43
O 0.0902 0.3626 0.4161  1 S 1.42
O 0.3381 0.0974 0.1825  1 S 1.43

Computed, not measured: a geometry-optimized TeSO5 structure at the GGA-PBE level of DFT.

Summary:
Energy of formation, meV/atom: -1632.4
SG: P-1

a = 8.4143 Å, b = 8.6269 Å, c = 12.0766 Å
α = 82.79°, β = 69.83°, γ = 82.08°
Closest atoms and distances in Å follow each position.
Positions (direct):
Te 0.0600 0.8144 0.2407  3 O 1.90-2.12
Te 0.9400 0.1856 0.7593  3 O 1.90-2.12
Te 0.4535 0.2787 0.2710  3 O 1.93-2.12
Te 0.5465 0.7213 0.7290  3 O 1.93-2.12
Te 0.4207 0.6778 0.3417  3 O 1.92-2.11
Te 0.5793 0.3222 0.6583  3 O 1.92-2.11
Te 0.1056 0.2424 0.1545  3 O 1.92-2.12
Te 0.8944 0.7576 0.8455  3 O 1.92-2.12
S 0.8123 0.4008 0.3794  4 O 1.45-1.52
S 0.1877 0.5992 0.6206  4 O 1.45-1.52
S 0.7441 0.8891 0.4593  4 O 1.45-1.56
S 0.2559 0.1109 0.5407  4 O 1.45-1.56
S 0.3162 0.1531 0.8969  4 O 1.44-1.55
S 0.6838 0.8469 0.1031  4 O 1.44-1.55
S 0.7305 0.3321 0.0210  4 O 1.45-1.55
S 0.2695 0.6679 0.9790  4 O 1.45-1.55
O 0.8962 0.2471 0.3274  1 S 1.52
O 0.1038 0.7529 0.6726  1 S 1.52
O 0.3650 0.4987 0.2847  2 Te 1.94-1.95
O 0.6350 0.5013 0.7153  2 Te 1.94-1.95
O 0.2496 0.2243 0.2530  2 Te 1.93-1.95
O 0.7504 0.7757 0.7470  2 Te 1.93-1.95
O 0.3291 0.1587 0.0212  1 S 1.55
O 0.6709 0.8413 0.9788  1 S 1.55
O 0.0494 0.0299 0.1850  2 Te 1.90-1.92
O 0.9506 0.9701 0.8150  2 Te 1.90-1.92
O 0.8039 0.3792 0.5081  1 S 1.52
O 0.1961 0.6208 0.4919  1 S 1.52
O 0.2661 0.8166 0.2802  2 Te 1.92-1.95
O 0.7339 0.1834 0.7198  2 Te 1.92-1.95
O 0.7009 0.8831 0.3525  1 S 1.46
O 0.2991 0.1169 0.6475  1 S 1.46
O 0.4189 0.0163 0.8437  1 S 1.44
O 0.5811 0.9837 0.1563  1 S 1.44
O 0.6337 0.4247 0.3775  1 S 1.50
O 0.3663 0.5753 0.6225  1 S 1.50
O 0.3946 0.3043 0.8281  1 S 1.55
O 0.6054 0.6957 0.1719  1 S 1.55
O 0.6764 0.0256 0.5255  1 S 1.45
O 0.3236 0.9744 0.4745  1 S 1.45
O 0.7528 0.2018 0.9424  1 S 1.51
O 0.2472 0.7982 0.0576  1 S 1.51
O 0.1350 0.1729 0.9112  1 S 1.46
O 0.8650 0.8271 0.0888  1 S 1.46
O 0.5363 0.3552 0.0879  1 S 1.55
O 0.4637 0.6448 0.9121  1 S 1.55
O 0.9427 0.8732 0.4177  1 S 1.56
O 0.0573 0.1268 0.5823  1 S 1.56
O 0.9141 0.5274 0.3165  1 S 1.45
O 0.0859 0.4726 0.6835  1 S 1.45
O 0.8079 0.2826 0.1139  1 S 1.47
O 0.1921 0.7174 0.8861  1 S 1.47
O 0.7865 0.4750 0.9485  1 S 1.45
O 0.2135 0.5250 0.0515  1 S 1.45
O 0.6938 0.7389 0.5404  1 S 1.54
O 0.3062 0.2611 0.4596  1 S 1.54

Computed, not measured: a geometry-optimized TeS4O14 structure at the GGA-PBE level of DFT.

Summary:
Energy of formation, meV/atom: -1607.2
Offset from the most stable computed form, eV per formula unit: 0.000
SG: P2_1/c

a = 11.0667 Å, b = 8.5459 Å, c = 14.7689 Å
α = 90.00°, β = 124.59°, γ = 90.00°
Closest atoms and distances in Å follow each position.
Positions (direct):
Te 0.7503 0.4450 0.2559  4 O 1.98-2.14
Te 0.7503 0.0550 0.7559  4 O 1.98-2.14
Te 0.2497 0.5550 0.7441  4 O 1.98-2.14
Te 0.2497 0.9450 0.2441  4 O 1.98-2.14
S 0.9418 0.2606 0.4987  3 O 1.42-1.55
S 0.9418 0.2394 0.9987  3 O 1.42-1.55
S 0.0582 0.7394 0.5013  3 O 1.42-1.55
S 0.0582 0.7606 0.0013  3 O 1.42-1.55
S 0.9989 0.1743 0.3372  2 O 1.42-1.43
S 0.9989 0.3257 0.8372  2 O 1.42-1.43
S 0.0011 0.8257 0.6628  2 O 1.42-1.43
S 0.0011 0.6743 0.1628  2 O 1.42-1.43
S 0.5890 0.2502 0.0148  3 O 1.42-1.54
S 0.5890 0.2498 0.5148  3 O 1.42-1.54
S 0.4110 0.7498 0.9852  3 O 1.42-1.54
S 0.4110 0.7502 0.4852  3 O 1.42-1.54
S 0.4659 0.2277 0.1455  2 O 1.42-1.43
S 0.4659 0.2723 0.6455  2 O 1.42-1.43
S 0.5341 0.7723 0.8545  2 O 1.42-1.43
S 0.5341 0.7277 0.3545  2 O 1.42-1.43
O 0.6392 0.4013 0.0834  1 S 1.54
O 0.6392 0.0987 0.5834  1 S 1.54
O 0.3608 0.5987 0.9166  1 S 1.54
O 0.3608 0.9013 0.4166  1 S 1.54
O 0.8549 0.4016 0.4240  1 S 1.55
O 0.8549 0.0984 0.9240  1 S 1.55
O 0.1451 0.5984 0.5760  1 S 1.55
O 0.1451 0.9016 0.0760  1 S 1.55
O 0.0580 0.2266 0.4615  2 S 1.62-1.69
O 0.0580 0.2734 0.9615  2 S 1.62-1.69
O 0.9420 0.7734 0.5385  2 S 1.62-1.69
O 0.9420 0.7266 0.0385  2 S 1.62-1.69
O 0.6313 0.2645 0.2482  1 S 1.61
O 0.6313 0.2355 0.7482  1 S 1.61
O 0.3687 0.7355 0.7518  1 S 1.61
O 0.3687 0.7645 0.2518  1 S 1.61
O 0.9181 0.3330 0.2713  1 S 1.61
O 0.9181 0.1670 0.7713  1 S 1.61
O 0.0819 0.6670 0.7287  1 S 1.61
O 0.0819 0.8330 0.2287  1 S 1.61
O 0.8545 0.1250 0.4756  1 S 1.42
O 0.8545 0.3750 0.9756  1 S 1.42
O 0.1455 0.8750 0.5244  1 S 1.42
O 0.1455 0.6250 0.0244  1 S 1.42
O 0.4803 0.2846 0.9016  1 S 1.43
O 0.4803 0.2154 0.4016  1 S 1.43
O 0.5197 0.7154 0.0984  1 S 1.43
O 0.5197 0.7846 0.5984  1 S 1.43
O 0.0407 0.3150 0.6095  1 S 1.43
O 0.0407 0.1850 0.1095  1 S 1.43
O 0.9593 0.6850 0.3905  1 S 1.43
O 0.9593 0.8150 0.8905  1 S 1.43
O 0.8952 0.0508 0.2991  1 S 1.42
O 0.8952 0.4492 0.7991  1 S 1.42
O 0.1048 0.9492 0.7009  1 S 1.42
O 0.1048 0.5508 0.2009  1 S 1.42
O 0.7054 0.1434 0.0463  1 S 1.42
O 0.7054 0.3566 0.5463  1 S 1.42
O 0.2946 0.8566 0.9537  1 S 1.42
O 0.2946 0.6434 0.4537  1 S 1.42
O 0.1291 0.1648 0.3390  1 S 1.43
O 0.1291 0.3352 0.8390  1 S 1.43
O 0.8709 0.8352 0.6610  1 S 1.43
O 0.8709 0.6648 0.1610  1 S 1.43
O 0.4205 0.0959 0.1791  1 S 1.43
O 0.4205 0.4041 0.6791  1 S 1.43
O 0.5795 0.9041 0.8209  1 S 1.43
O 0.5795 0.5959 0.3209  1 S 1.43
O 0.4926 0.1567 0.0583  2 S 1.60-1.72
O 0.4926 0.3433 0.5583  2 S 1.60-1.72
O 0.5074 0.8433 0.9417  2 S 1.60-1.72
O 0.5074 0.6567 0.4417  2 S 1.60-1.72
O 0.3839 0.3694 0.1078  1 S 1.42
O 0.3839 0.1306 0.6078  1 S 1.42
O 0.6161 0.6306 0.8922  1 S 1.42
O 0.6161 0.8694 0.3922  1 S 1.42

Computed, not measured: a geometry-optimized ThSO structure at the GGA-PBE level of DFT.

Summary:
Energy of formation, meV/atom: -3430.8
SG: P4/nmm

a = 3.9800 Å, b = 3.9800 Å, c = 6.7873 Å
α = 90.00°, β = 90.00°, γ = 90.00°
Closest atoms and distances in Å follow each position.
Positions (direct):
Th 0.5000 0.0000 0.7999  4 O 2.41
Th 0.0000 0.5000 0.2001  4 O 2.41
S 0.0000 0.5000 0.6380  5 Th 2.97-3.02, 4 O 3.16
S 0.5000 0.0000 0.3620  5 Th 2.97-3.02, 4 O 3.16
O 0.0000 0.0000 0.0000  4 Th 2.41
O 0.5000 0.5000 0.0000  4 Th 2.41